Below is an optimized crystal structure of Si2BPH28C9, with properties calculated at the PBE level.

VASP energy in hartree per atom: -0.187
Volume in Å³/cell: 1938.11
Magnetization in μB/atom: 0.00
Energy of formation from the pure elements in eV/atom: -0.20
Crystal system: monoclinic
SG: P2_1/c, No. 14

Geometry as POSCAR:
```
Si2BPH28C9
1.0
-10.3567 -7.6647 -9.2247
-1.3738 -6.3602 6.8270
-10.2130 4.5439 7.6908
H C Si B P
112 36 8 4 4
Direct
0.3913 0.9618 0.2151 H
0.4207 0.4845 0.3394 H
0.5562 0.7817 0.5913 H
0.4427 0.4049 0.8491 H
0.3475 0.1844 0.6314 H
0.3706 0.9593 0.9588 H
0.7926 0.3062 0.7890 H
0.5186 0.9037 0.6609 H
0.5793 0.5155 0.6606 H
0.1087 0.9618 0.7151 H
0.7640 0.0188 0.2949 H
0.6738 0.3994 0.9115 H
0.2716 0.4379 0.0831 H
0.2284 0.4379 0.5831 H
0.5445 0.8067 0.3333 H
0.9438 0.7817 0.0913 H
0.8913 0.0382 0.2849 H
0.6294 0.0407 0.0412 H
0.1560 0.9174 0.3414 H
0.3365 0.5169 0.4171 H
0.2484 0.2473 0.9155 H
0.7270 0.1097 0.5551 H
0.3389 0.1544 0.1300 H
0.1383 0.6520 0.7992 H
0.0445 0.1933 0.1667 H
0.8389 0.8456 0.3700 H
0.7730 0.1097 0.0551 H
0.9207 0.5155 0.1606 H
0.9988 0.2372 0.3734 H
0.3851 0.8906 0.4378 H
0.3931 0.3566 0.6333 H
0.6667 0.0072 0.4874 H
0.8475 0.8156 0.8686 H
0.0562 0.2183 0.9087 H
0.4988 0.7628 0.1266 H
0.7360 0.0188 0.7949 H
0.3262 0.6006 0.0885 H
0.1069 0.3566 0.1333 H
0.3684 0.5563 0.7075 H
0.0186 0.0963 0.8391 H
0.5511 0.0303 0.1366 H
0.2516 0.2473 0.4155 H
0.8777 0.5746 0.3741 H
0.7516 0.7527 0.0845 H
0.6069 0.6434 0.3667 H
0.3390 0.5846 0.8276 H
0.2730 0.8903 0.4449 H
0.0473 0.2808 0.7704 H
0.3333 0.9928 0.5126 H
0.1635 0.5169 0.9171 H
0.6635 0.4831 0.5829 H
0.8684 0.4437 0.7925 H
0.9527 0.7192 0.2296 H
0.7484 0.7527 0.5845 H
0.7074 0.3062 0.2890 H
0.9427 0.5951 0.6509 H
0.4527 0.2808 0.2704 H
0.3440 0.9174 0.8414 H
0.0012 0.7628 0.6266 H
0.6149 0.1094 0.5622 H
0.0511 0.9697 0.3634 H
0.8706 0.0407 0.5412 H
0.8262 0.3994 0.4115 H
0.5012 0.2372 0.8734 H
0.6560 0.0826 0.1586 H
0.9555 0.8067 0.8333 H
0.8440 0.0826 0.6586 H
0.1525 0.1844 0.1314 H
0.5473 0.7192 0.7296 H
0.8390 0.4154 0.6724 H
0.6525 0.8156 0.3686 H
0.4555 0.1933 0.6667 H
0.8365 0.4831 0.0829 H
0.3617 0.6520 0.2992 H
0.2270 0.8903 0.9449 H
0.1294 0.9593 0.4588 H
0.5756 0.7441 0.0363 H
0.6611 0.8456 0.8700 H
0.1149 0.8906 0.9378 H
0.4438 0.2183 0.4087 H
0.6316 0.4437 0.2925 H
0.4244 0.2559 0.9637 H
0.8617 0.3480 0.2008 H
0.8931 0.6434 0.8667 H
0.7284 0.5621 0.9169 H
0.4814 0.0963 0.3391 H
0.8851 0.1094 0.0622 H
0.0573 0.4049 0.3491 H
0.0793 0.4845 0.8394 H
0.1611 0.1544 0.6300 H
0.6223 0.5746 0.8741 H
0.1738 0.6006 0.5885 H
0.1223 0.4254 0.6259 H
0.6383 0.3480 0.7008 H
0.1610 0.5846 0.3276 H
0.2640 0.9812 0.2051 H
0.2074 0.6938 0.2110 H
0.7716 0.5621 0.4169 H
0.9814 0.9037 0.1609 H
0.5573 0.5951 0.1509 H
0.9244 0.7441 0.5363 H
0.1667 0.9928 0.0126 H
0.9489 0.0303 0.6366 H
0.0756 0.2559 0.4637 H
0.1316 0.5563 0.2075 H
0.3777 0.4254 0.1259 H
0.2360 0.9812 0.7051 H
0.8333 0.0072 0.9874 H
0.6610 0.4154 0.1724 H
0.6087 0.0382 0.7849 H
0.2926 0.6938 0.7110 H
0.4489 0.9697 0.8634 H
0.6183 0.0109 0.1249 C
0.5627 0.8134 0.6625 C
0.3572 0.5319 0.3373 C
0.3156 0.5819 0.7519 C
0.8298 0.0418 0.0580 C
0.6844 0.4181 0.2481 C
0.2520 0.2503 0.3332 C
0.0627 0.1866 0.8375 C
0.3817 0.9891 0.8751 C
0.4388 0.2839 0.8809 C
0.6084 0.7632 0.3276 C
0.2480 0.2503 0.8332 C
0.1183 0.9891 0.3751 C
0.6827 0.5185 0.8723 C
0.8572 0.4681 0.1627 C
0.9388 0.7161 0.6191 C
0.9373 0.8134 0.1625 C
0.6702 0.0418 0.5580 C
0.1844 0.5819 0.2519 C
0.7520 0.7497 0.1668 C
0.4373 0.1866 0.3375 C
0.8817 0.0109 0.6249 C
0.1827 0.4815 0.6277 C
0.1084 0.2368 0.1724 C
0.3298 0.9582 0.4420 C
0.3916 0.2368 0.6724 C
0.1428 0.5319 0.8373 C
0.5612 0.7161 0.1191 C
0.3173 0.4815 0.1277 C
0.0612 0.2839 0.3809 C
0.1702 0.9582 0.9420 C
0.8916 0.7632 0.8276 C
0.7480 0.7497 0.6668 C
0.6428 0.4681 0.6627 C
0.8173 0.5185 0.3723 C
0.8156 0.4181 0.7481 C
0.6377 0.8079 0.1870 Si
0.2220 0.4554 0.7627 Si
0.7780 0.5446 0.2373 Si
0.3623 0.1921 0.8130 Si
0.2780 0.4554 0.2627 Si
0.7220 0.5446 0.7373 Si
0.8623 0.8079 0.6870 Si
0.1377 0.1921 0.3130 Si
0.1693 0.0454 0.7044 B
0.8307 0.9546 0.2956 B
0.6693 0.9546 0.7956 B
0.3307 0.0454 0.2044 B
0.1676 0.1143 0.8240 P
0.6676 0.8857 0.6760 P
0.8324 0.8857 0.1760 P
0.3324 0.1143 0.3240 P
```

---

Below is an optimized crystal structure of TmB3H18C2S, with properties calculated at the PBE level.

VASP energy in hartree per atom: -0.168
Volume in Å³/cell: 976.91
Magnetization in μB/atom: 0.00
Energy of formation from the pure elements in eV/atom: -0.26
Crystal system: monoclinic
SG: P2_1/c, No. 14

Geometry as POSCAR:
```
TmB3H18C2S
1.0
5.3540 0.0000 -0.9637
0.0000 22.5556 0.0000
0.0493 0.0000 8.0806
H B C S Tm
72 12 8 4 4
Direct
0.7893 0.8531 0.8126 H
0.7599 0.4294 0.1617 H
0.6637 0.2989 0.8481 H
0.1945 0.5104 0.0868 H
0.2677 0.0811 0.0763 H
0.6834 0.2664 0.5260 H
0.9604 0.1250 0.8231 H
0.7032 0.8632 0.3362 H
0.6060 0.3897 0.3375 H
0.5113 0.7223 0.7034 H
0.4992 0.1388 0.1117 H
0.1288 0.7727 0.1640 H
0.8055 0.0104 0.4132 H
0.0705 0.2067 0.6466 H
0.1288 0.7273 0.6640 H
0.7893 0.6469 0.3126 H
0.2401 0.5706 0.8383 H
0.2968 0.1368 0.6638 H
0.8587 0.0608 0.2510 H
0.3363 0.7989 0.6519 H
0.8599 0.0444 0.9034 H
0.0396 0.8750 0.1769 H
0.6637 0.2011 0.3481 H
0.3940 0.8897 0.1625 H
0.4992 0.3612 0.6117 H
0.1401 0.5444 0.5966 H
0.9932 0.6385 0.0217 H
0.7192 0.6972 0.0277 H
0.3166 0.7664 0.9740 H
0.5113 0.7777 0.2034 H
0.8587 0.4392 0.7510 H
0.8599 0.4556 0.4034 H
0.2677 0.4189 0.5763 H
0.7323 0.5811 0.4237 H
0.1413 0.9392 0.7490 H
0.8055 0.4896 0.9132 H
0.0068 0.1385 0.4783 H
0.2107 0.1469 0.1874 H
0.3940 0.6103 0.6625 H
0.2808 0.3028 0.9723 H
0.8712 0.2727 0.3360 H
0.7032 0.6368 0.8362 H
0.3700 0.9973 0.7934 H
0.0068 0.3615 0.9783 H
0.9932 0.8615 0.5217 H
0.6060 0.1103 0.8375 H
0.6300 0.0027 0.2066 H
0.2401 0.9294 0.3383 H
0.7192 0.8028 0.5277 H
0.0396 0.6250 0.6769 H
0.2107 0.3531 0.6874 H
0.2808 0.1972 0.4723 H
0.6300 0.4973 0.7066 H
0.9295 0.7067 0.8534 H
0.0705 0.2933 0.1466 H
0.4887 0.2223 0.7966 H
0.7599 0.0706 0.6617 H
0.1945 0.9896 0.5868 H
0.9604 0.3750 0.3231 H
0.3700 0.5027 0.2934 H
0.1401 0.9556 0.0966 H
0.5008 0.6388 0.3883 H
0.3363 0.7011 0.1519 H
0.3166 0.7336 0.4740 H
0.1413 0.5608 0.2490 H
0.9295 0.7933 0.3534 H
0.4887 0.2777 0.2966 H
0.8712 0.2273 0.8360 H
0.7323 0.9189 0.9237 H
0.2968 0.3632 0.1638 H
0.6834 0.2336 0.0260 H
0.5008 0.8612 0.8883 H
0.8350 0.8304 0.4348 B
0.2006 0.5858 0.6883 B
0.6773 0.2546 0.3766 B
0.1650 0.3304 0.0652 B
0.7994 0.4142 0.3117 B
0.2006 0.9142 0.1883 B
0.1650 0.1696 0.5652 B
0.7994 0.0858 0.8117 B
0.8350 0.6696 0.9348 B
0.6773 0.2454 0.8766 B
0.3227 0.7454 0.6234 B
0.3227 0.7546 0.1234 B
0.7183 0.0346 0.3009 C
0.7183 0.4654 0.8009 C
0.3537 0.1153 0.1639 C
0.3537 0.3847 0.6639 C
0.2817 0.9654 0.6991 C
0.6463 0.8847 0.8361 C
0.6463 0.6153 0.3361 C
0.2817 0.5346 0.1991 C
0.4793 0.0811 0.3624 S
0.4793 0.4189 0.8624 S
0.5207 0.9189 0.6376 S
0.5207 0.5811 0.1376 S
0.6809 0.1671 0.6175 Tm
0.3191 0.6671 0.8825 Tm
0.6809 0.3329 0.1175 Tm
0.3191 0.8329 0.3825 Tm
```

---

Below is an optimized crystal structure of HfTaTiB4MoC4, with properties calculated at the PBE level.

VASP energy in hartree per atom: -0.321
Volume in Å³/cell: 212.27
Magnetization in μB/atom: 0.00
Energy of formation from the pure elements in eV/atom: -0.04
Crystal system: triclinic
SG: P-1, No. 2

Geometry as POSCAR:
```
HfTaTiB4MoC4
1.0
-5.7331 0.0000 0.0000
2.8661 4.9732 0.0000
-0.0018 -0.0037 -7.4450
Ta Hf B C Mo Ti
2 2 8 8 2 2
Direct
0.0000 0.0000 0.0000 Ta
0.0000 0.5000 0.5000 Ta
0.5000 0.0000 0.0000 Hf
0.0000 0.0000 0.5000 Hf
0.6672 0.3353 0.2523 B
0.3357 0.1698 0.7483 B
0.8338 0.1690 0.7512 B
0.8304 0.6633 0.7523 B
0.1662 0.8310 0.2488 B
0.6643 0.8302 0.2517 B
0.3328 0.6647 0.7477 B
0.1696 0.3367 0.2477 B
0.3335 0.1674 0.2509 C
0.3324 0.6661 0.2503 C
0.8331 0.6662 0.2485 C
0.6665 0.8326 0.7491 C
0.8347 0.1685 0.2495 C
0.6676 0.3339 0.7497 C
0.1669 0.3338 0.7515 C
0.1653 0.8315 0.7505 C
0.5000 0.0000 0.5000 Mo
0.5000 0.5000 0.0000 Mo
0.0000 0.5000 0.0000 Ti
0.5000 0.5000 0.5000 Ti
```

---

Which of these has the highest VASP energy?
TmB3H18C2S